## Ga4SbS9N3O2 (PBE)

Data for an optimized crystal structure of Ga4SbS9N3O2.

Results
As for the space-group type: P2_13. For the total energy, the calculation gives -328.27 eV for the cell shown. Its formation energy is 0.260 eV/atom. The crystal system is cubic. Its MP2020-corrected energy is -4.392 eV/atom. The value obtained for the size of the total moment is 0.00 μB/f.u.

Geometry as CIF:
```
data_Ga4SbS9N3O2
_space_group_name_H-M_alt 'P 1'
_space_group_IT_number 1
_space_group_name_Hall 'P 1'
_cell_length_a 12.980
_cell_length_b 12.980
_cell_length_c 12.980
_cell_angle_alpha 90.00
_cell_angle_beta 90.00
_cell_angle_gamma 90.00
loop_
_atom_site_label
_atom_site_type_symbol
_atom_site_fract_x
_atom_site_fract_y
_atom_site_fract_z
Ga1 Ga 0.963 0.037 0.320
Ga2 Ga 0.680 0.463 0.463
Ga3 Ga 0.537 0.180 0.037
Ga4 Ga 0.463 0.463 0.680
Ga5 Ga 0.180 0.037 0.537
Ga6 Ga 0.037 0.320 0.963
Ga7 Ga 0.037 0.537 0.180
Ga8 Ga 0.320 0.963 0.037
Ga9 Ga 0.463 0.680 0.463
Ga10 Ga 0.537 0.963 0.820
Ga11 Ga 0.820 0.537 0.963
Ga12 Ga 0.963 0.820 0.537
Ga13 Ga 0.878 0.122 0.622
Ga14 Ga 0.378 0.378 0.378
Ga15 Ga 0.622 0.878 0.122
Ga16 Ga 0.122 0.622 0.878
Sb1 Sb 0.114 0.114 0.114
Sb2 Sb 0.886 0.614 0.386
Sb3 Sb 0.614 0.386 0.886
Sb4 Sb 0.386 0.886 0.614
S1 S 0.931 0.077 0.158
S2 S 0.842 0.431 0.423
S3 S 0.577 0.342 0.069
S4 S 0.431 0.423 0.842
S5 S 0.342 0.069 0.577
S6 S 0.077 0.158 0.931
S7 S 0.069 0.577 0.342
S8 S 0.158 0.931 0.077
S9 S 0.423 0.842 0.431
S10 S 0.569 0.923 0.658
S11 S 0.658 0.569 0.923
S12 S 0.923 0.658 0.569
S13 S 0.140 0.042 0.361
S14 S 0.639 0.640 0.458
S15 S 0.542 0.139 0.860
S16 S 0.640 0.458 0.639
S17 S 0.139 0.860 0.542
S18 S 0.042 0.361 0.140
S19 S 0.860 0.542 0.139
S20 S 0.361 0.140 0.042
S21 S 0.458 0.639 0.640
S22 S 0.360 0.958 0.861
S23 S 0.861 0.360 0.958
S24 S 0.958 0.861 0.360
S25 S 0.890 0.169 0.434
S26 S 0.566 0.390 0.331
S27 S 0.669 0.066 0.110
S28 S 0.390 0.331 0.566
S29 S 0.066 0.110 0.669
S30 S 0.169 0.434 0.890
S31 S 0.110 0.669 0.066
S32 S 0.434 0.890 0.169
S33 S 0.331 0.566 0.390
S34 S 0.610 0.831 0.934
S35 S 0.934 0.610 0.831
S36 S 0.831 0.934 0.610
N1 N 0.995 0.235 0.433
N2 N 0.567 0.495 0.265
N3 N 0.735 0.067 0.005
N4 N 0.495 0.265 0.567
N5 N 0.067 0.005 0.735
N6 N 0.235 0.433 0.995
N7 N 0.005 0.735 0.067
N8 N 0.433 0.995 0.235
N9 N 0.265 0.567 0.495
N10 N 0.505 0.765 0.933
N11 N 0.933 0.505 0.765
N12 N 0.765 0.933 0.505
O1 O 0.899 0.399 0.101
O2 O 0.399 0.101 0.899
O3 O 0.101 0.899 0.399
O4 O 0.601 0.601 0.601
O5 O 0.802 0.198 0.698
O6 O 0.302 0.302 0.302
O7 O 0.698 0.802 0.198
O8 O 0.198 0.698 0.802
```